Computed, not measured: Li3MnVP3O12 after structural relaxation at the GGA+U level of DFT.

Lattice parameters (Å, degrees): 8.504 8.897 12.277 90.61 91.92 90.80
Positions (direct):
Li (0.000, 0.000, 0.000)
Li (0.000, 0.203, 0.497)
Li (0.213, 0.793, 0.295)
Li (0.218, 0.409, 0.793)
Li (0.490, 0.495, 0.498)
Li (0.499, 0.599, 0.750)
Li (0.502, 0.599, 0.244)
Li (0.508, 0.704, 0.991)
Li (0.787, 0.405, 0.188)
Li (0.792, 0.795, 0.698)
Li (0.997, 0.105, 0.748)
Li (0.998, 0.096, 0.245)
Mn (0.214, 0.610, 0.603)
Mn (0.714, 0.096, 0.599)
Mn (0.715, 0.103, 0.099)
Mn (0.792, 0.598, 0.887)
V (0.219, 0.595, 0.103)
V (0.288, 0.100, 0.390)
V (0.290, 0.102, 0.890)
V (0.786, 0.601, 0.388)
P (0.001, 0.305, 0.994)
P (0.154, 0.452, 0.350)
P (0.154, 0.749, 0.848)
P (0.350, 0.956, 0.140)
P (0.355, 0.243, 0.641)
P (0.498, 0.799, 0.495)
P (0.505, 0.404, 0.995)
P (0.659, 0.959, 0.851)
P (0.660, 0.244, 0.350)
P (0.857, 0.743, 0.142)
P (0.859, 0.456, 0.645)
P (0.997, 0.897, 0.494)
O (0.030, 0.693, 0.154)
O (0.037, 0.499, 0.656)
O (0.069, 0.005, 0.409)
O (0.071, 0.192, 0.910)
O (0.115, 0.808, 0.562)
O (0.125, 0.400, 0.057)
O (0.157, 0.279, 0.335)
O (0.164, 0.922, 0.833)
O (0.225, 0.699, 0.958)
O (0.232, 0.502, 0.460)
O (0.252, 0.010, 0.238)
O (0.252, 0.538, 0.264)
O (0.253, 0.660, 0.764)
O (0.255, 0.190, 0.738)
O (0.256, 0.004, 0.038)
O (0.259, 0.195, 0.537)
O (0.357, 0.781, 0.155)
O (0.372, 0.417, 0.655)
O (0.376, 0.895, 0.434)
O (0.377, 0.306, 0.936)
O (0.424, 0.692, 0.582)
O (0.434, 0.516, 0.080)
O (0.493, 0.185, 0.353)
O (0.495, 0.024, 0.854)
O (0.520, 0.011, 0.140)
O (0.523, 0.182, 0.639)
O (0.566, 0.686, 0.409)
O (0.569, 0.511, 0.906)
O (0.627, 0.886, 0.560)
O (0.631, 0.318, 0.059)
O (0.639, 0.785, 0.836)
O (0.649, 0.419, 0.336)
O (0.755, 0.004, 0.957)
O (0.755, 0.658, 0.226)
O (0.757, 0.189, 0.252)
O (0.757, 0.200, 0.453)
O (0.761, 0.012, 0.756)
O (0.761, 0.543, 0.731)
O (0.778, 0.693, 0.030)
O (0.780, 0.508, 0.537)
O (0.859, 0.284, 0.658)
O (0.863, 0.915, 0.155)
O (0.881, 0.796, 0.431)
O (0.885, 0.400, 0.931)
O (0.921, 0.006, 0.581)
O (0.927, 0.203, 0.085)
O (0.975, 0.714, 0.834)
O (0.978, 0.493, 0.341)

Summary:
ΔE to the lowest computed polymorph (meV/atom): 51.7
Energy of formation from the pure elements (eV/atom): -2.604
Electronic total energy (eV per formula unit): -140.0

***

Computed, not measured: Li3MnVP3O12 after structural relaxation at the GGA+U level of DFT.

Lattice parameters (Å, degrees): 8.653 8.657 12.655 105.81 105.70 95.34
Positions (direct):
Li (0.000, 0.000, 0.000)
Li (0.000, 0.001, 0.249)
Li (0.001, 0.004, 0.501)
Li (0.212, 0.791, 0.124)
Li (0.213, 0.790, 0.626)
Li (0.496, 0.504, 0.376)
Li (0.500, 0.505, 0.874)
Li (0.503, 0.498, 0.625)
Li (0.507, 0.497, 0.123)
Li (0.789, 0.213, 0.375)
Li (0.789, 0.213, 0.873)
Li (0.999, 0.001, 0.749)
Mn (0.131, 0.442, 0.685)
Mn (0.557, 0.874, 0.065)
Mn (0.557, 0.877, 0.565)
Mn (0.872, 0.559, 0.815)
V (0.122, 0.444, 0.180)
V (0.443, 0.123, 0.930)
V (0.443, 0.124, 0.430)
V (0.881, 0.557, 0.320)
P (0.161, 0.362, 0.433)
P (0.166, 0.360, 0.931)
P (0.212, 0.786, 0.875)
P (0.215, 0.789, 0.375)
P (0.360, 0.167, 0.181)
P (0.366, 0.166, 0.682)
P (0.634, 0.841, 0.817)
P (0.639, 0.840, 0.318)
P (0.785, 0.213, 0.124)
P (0.788, 0.217, 0.625)
P (0.835, 0.637, 0.568)
P (0.840, 0.635, 0.066)
O (0.038, 0.759, 0.886)
O (0.039, 0.763, 0.384)
O (0.043, 0.203, 0.397)
O (0.046, 0.202, 0.897)
O (0.102, 0.453, 0.339)
O (0.114, 0.448, 0.836)
O (0.162, 0.486, 0.044)
O (0.163, 0.486, 0.549)
O (0.203, 0.047, 0.148)
O (0.205, 0.050, 0.648)
O (0.235, 0.961, 0.866)
O (0.237, 0.675, 0.764)
O (0.237, 0.964, 0.364)
O (0.241, 0.674, 0.266)
O (0.327, 0.766, 0.487)
O (0.328, 0.763, 0.986)
O (0.340, 0.351, 0.201)
O (0.344, 0.344, 0.446)
O (0.350, 0.341, 0.949)
O (0.356, 0.351, 0.702)
O (0.446, 0.116, 0.086)
O (0.448, 0.111, 0.585)
O (0.487, 0.163, 0.294)
O (0.489, 0.157, 0.795)
O (0.512, 0.842, 0.701)
O (0.514, 0.838, 0.202)
O (0.546, 0.906, 0.912)
O (0.549, 0.902, 0.412)
O (0.644, 0.658, 0.805)
O (0.650, 0.647, 0.549)
O (0.656, 0.645, 0.052)
O (0.659, 0.658, 0.305)
O (0.674, 0.244, 0.516)
O (0.675, 0.241, 0.015)
O (0.759, 0.037, 0.134)
O (0.760, 0.328, 0.234)
O (0.761, 0.041, 0.634)
O (0.764, 0.329, 0.737)
O (0.796, 0.954, 0.852)
O (0.799, 0.958, 0.353)
O (0.843, 0.513, 0.950)
O (0.845, 0.513, 0.456)
O (0.891, 0.554, 0.665)
O (0.903, 0.548, 0.161)
O (0.951, 0.798, 0.602)
O (0.954, 0.797, 0.102)
O (0.962, 0.237, 0.117)
O (0.963, 0.240, 0.615)

Summary:
ΔE to the lowest computed polymorph (meV/atom): 42.8
Energy of formation from the pure elements (eV/atom): -2.613
Electronic total energy (eV per formula unit): -140.2

***

Copy entry 2 word for word.
Computed, not measured: Li3MnVP3O12 after structural relaxation at the GGA+U level of DFT.

Lattice parameters (Å, degrees): 8.653 8.657 12.655 105.81 105.70 95.34
Positions (direct):
Li (0.000, 0.000, 0.000)
Li (0.000, 0.001, 0.249)
Li (0.001, 0.004, 0.501)
Li (0.212, 0.791, 0.124)
Li (0.213, 0.790, 0.626)
Li (0.496, 0.504, 0.376)
Li (0.500, 0.505, 0.874)
Li (0.503, 0.498, 0.625)
Li (0.507, 0.497, 0.123)
Li (0.789, 0.213, 0.375)
Li (0.789, 0.213, 0.873)
Li (0.999, 0.001, 0.749)
Mn (0.131, 0.442, 0.685)
Mn (0.557, 0.874, 0.065)
Mn (0.557, 0.877, 0.565)
Mn (0.872, 0.559, 0.815)
V (0.122, 0.444, 0.180)
V (0.443, 0.123, 0.930)
V (0.443, 0.124, 0.430)
V (0.881, 0.557, 0.320)
P (0.161, 0.362, 0.433)
P (0.166, 0.360, 0.931)
P (0.212, 0.786, 0.875)
P (0.215, 0.789, 0.375)
P (0.360, 0.167, 0.181)
P (0.366, 0.166, 0.682)
P (0.634, 0.841, 0.817)
P (0.639, 0.840, 0.318)
P (0.785, 0.213, 0.124)
P (0.788, 0.217, 0.625)
P (0.835, 0.637, 0.568)
P (0.840, 0.635, 0.066)
O (0.038, 0.759, 0.886)
O (0.039, 0.763, 0.384)
O (0.043, 0.203, 0.397)
O (0.046, 0.202, 0.897)
O (0.102, 0.453, 0.339)
O (0.114, 0.448, 0.836)
O (0.162, 0.486, 0.044)
O (0.163, 0.486, 0.549)
O (0.203, 0.047, 0.148)
O (0.205, 0.050, 0.648)
O (0.235, 0.961, 0.866)
O (0.237, 0.675, 0.764)
O (0.237, 0.964, 0.364)
O (0.241, 0.674, 0.266)
O (0.327, 0.766, 0.487)
O (0.328, 0.763, 0.986)
O (0.340, 0.351, 0.201)
O (0.344, 0.344, 0.446)
O (0.350, 0.341, 0.949)
O (0.356, 0.351, 0.702)
O (0.446, 0.116, 0.086)
O (0.448, 0.111, 0.585)
O (0.487, 0.163, 0.294)
O (0.489, 0.157, 0.795)
O (0.512, 0.842, 0.701)
O (0.514, 0.838, 0.202)
O (0.546, 0.906, 0.912)
O (0.549, 0.902, 0.412)
O (0.644, 0.658, 0.805)
O (0.650, 0.647, 0.549)
O (0.656, 0.645, 0.052)
O (0.659, 0.658, 0.305)
O (0.674, 0.244, 0.516)
O (0.675, 0.241, 0.015)
O (0.759, 0.037, 0.134)
O (0.760, 0.328, 0.234)
O (0.761, 0.041, 0.634)
O (0.764, 0.329, 0.737)
O (0.796, 0.954, 0.852)
O (0.799, 0.958, 0.353)
O (0.843, 0.513, 0.950)
O (0.845, 0.513, 0.456)
O (0.891, 0.554, 0.665)
O (0.903, 0.548, 0.161)
O (0.951, 0.798, 0.602)
O (0.954, 0.797, 0.102)
O (0.962, 0.237, 0.117)
O (0.963, 0.240, 0.615)

Summary:
ΔE to the lowest computed polymorph (meV/atom): 42.8
Energy of formation from the pure elements (eV/atom): -2.613
Electronic total energy (eV per formula unit): -140.2

***

Question: What is the energy of formation from the pure elements in the first record?
Answer: -2.604 eV/atom

***

Question: What is the formula in the second record?
Answer: Li3MnVP3O12